# 1
Computed, not measured: crystalline Cs3Bi2Cl9 at its relaxed geometry at the PBE level of DFT.

Cell: 7.794 13.539 19.192 Å, 90.00 90.00 90.00°
Fractional coordinates of all 56 atoms:
Cs1 0.250 0.091 0.590
Cs2 0.250 0.409 0.090
Cs3 0.750 0.909 0.410
Cs4 0.750 0.591 0.910
Cs5 0.250 0.747 0.251
Cs6 0.250 0.753 0.751
Cs7 0.750 0.253 0.749
Cs8 0.750 0.247 0.249
Cs9 0.250 0.078 0.913
Cs10 0.250 0.422 0.413
Cs11 0.750 0.922 0.087
Cs12 0.750 0.578 0.587
Bi1 0.250 0.739 0.501
Bi2 0.250 0.761 0.001
Bi3 0.750 0.261 0.499
Bi4 0.750 0.239 0.999
Bi5 0.250 0.421 0.818
Bi6 0.250 0.079 0.318
Bi7 0.750 0.579 0.182
Bi8 0.750 0.921 0.682
Cl1 0.250 0.911 0.411
Cl2 0.250 0.589 0.911
Cl3 0.750 0.089 0.589
Cl4 0.750 0.411 0.089
Cl5 0.250 0.260 0.742
Cl6 0.250 0.240 0.242
Cl7 0.750 0.740 0.258
Cl8 0.750 0.760 0.758
Cl9 0.250 0.916 0.081
Cl10 0.250 0.584 0.581
Cl11 0.750 0.084 0.919
Cl12 0.750 0.416 0.419
Cl13 0.991 0.335 0.576
Cl14 0.509 0.165 0.076
Cl15 0.491 0.665 0.424
Cl16 0.009 0.835 0.924
Cl17 0.009 0.665 0.424
Cl18 0.491 0.835 0.924
Cl19 0.509 0.335 0.576
Cl20 0.991 0.165 0.076
Cl21 0.996 0.508 0.752
Cl22 0.504 0.992 0.252
Cl23 0.496 0.492 0.248
Cl24 0.004 0.008 0.748
Cl25 0.004 0.492 0.248
Cl26 0.496 0.008 0.748
Cl27 0.504 0.508 0.752
Cl28 0.996 0.992 0.252
Cl29 0.004 0.333 0.910
Cl30 0.496 0.167 0.410
Cl31 0.504 0.667 0.090
Cl32 0.996 0.833 0.590
Cl33 0.996 0.667 0.090
Cl34 0.504 0.833 0.590
Cl35 0.496 0.333 0.910
Cl36 0.004 0.167 0.410

Results
magnetization: 0.000 μB per cell
energy relative to the elements: -26.245 eV/f.u.

***

# 2
Computed, not measured: crystalline BeB6H16 at its relaxed geometry at the PBE level of DFT.

Cell: 11.321 8.055 12.151 Å, 90.00 115.27 90.00°
Fractional coordinates of all 92 atoms:
Be1 0.287 0.463 0.774
Be2 0.287 0.037 0.274
Be3 0.713 0.537 0.226
Be4 0.713 0.963 0.726
B1 0.169 0.271 0.731
B2 0.169 0.229 0.231
B3 0.831 0.729 0.269
B4 0.831 0.771 0.769
B5 0.119 0.284 0.856
B6 0.119 0.216 0.356
B7 0.881 0.716 0.144
B8 0.881 0.784 0.644
B9 0.290 0.278 0.882
B10 0.290 0.222 0.382
B11 0.710 0.722 0.118
B12 0.710 0.778 0.618
B13 0.300 0.706 0.768
B14 0.300 0.794 0.268
B15 0.700 0.294 0.232
B16 0.700 0.206 0.732
B17 0.275 0.721 0.610
B18 0.275 0.779 0.110
B19 0.725 0.279 0.390
B20 0.725 0.221 0.890
B21 0.401 0.590 0.720
B22 0.401 0.910 0.220
B23 0.599 0.410 0.280
B24 0.599 0.090 0.780
H1 0.172 0.149 0.677
H2 0.172 0.351 0.177
H3 0.828 0.851 0.323
H4 0.828 0.649 0.823
H5 0.078 0.158 0.879
H6 0.078 0.342 0.379
H7 0.922 0.842 0.121
H8 0.922 0.658 0.621
H9 0.361 0.161 0.912
H10 0.361 0.339 0.412
H11 0.639 0.839 0.088
H12 0.639 0.661 0.588
H13 0.075 0.414 0.870
H14 0.075 0.086 0.370
H15 0.925 0.586 0.130
H16 0.925 0.914 0.630
H17 0.054 0.278 0.725
H18 0.054 0.222 0.225
H19 0.946 0.722 0.275
H20 0.946 0.778 0.775
H21 0.243 0.295 0.959
H22 0.243 0.205 0.459
H23 0.757 0.705 0.041
H24 0.757 0.795 0.541
H25 0.356 0.410 0.910
H26 0.356 0.090 0.410
H27 0.644 0.590 0.090
H28 0.644 0.910 0.590
H29 0.158 0.400 0.670
H30 0.158 0.100 0.170
H31 0.842 0.600 0.330
H32 0.842 0.900 0.830
H33 0.360 0.798 0.850
H34 0.360 0.702 0.350
H35 0.640 0.202 0.150
H36 0.640 0.298 0.650
H37 0.312 0.847 0.582
H38 0.312 0.653 0.082
H39 0.688 0.153 0.418
H40 0.688 0.347 0.918
H41 0.515 0.622 0.774
H42 0.515 0.878 0.274
H43 0.485 0.378 0.226
H44 0.485 0.122 0.726
H45 0.180 0.654 0.535
H46 0.180 0.846 0.035
H47 0.820 0.346 0.465
H48 0.820 0.154 0.965
H49 0.217 0.792 0.684
H50 0.217 0.708 0.184
H51 0.783 0.208 0.316
H52 0.783 0.292 0.816
H53 0.373 0.610 0.608
H54 0.373 0.890 0.108
H55 0.627 0.390 0.392
H56 0.627 0.110 0.892
H57 0.383 0.436 0.715
H58 0.383 0.064 0.215
H59 0.617 0.564 0.285
H60 0.617 0.936 0.785
H61 0.219 0.623 0.790
H62 0.219 0.877 0.290
H63 0.781 0.377 0.210
H64 0.781 0.123 0.710

Results
energy relative to the lowest polymorph listed for this composition: 0 kJ/mol of formula units
magnetization: 0.206 μB per cell
energy relative to the elements: -4.862 eV/f.u.

***

Question: What is the formula in the first record?
Answer: Cs3Bi2Cl9

***

Please write out number 2 again, unchanged.
Computed, not measured: crystalline BeB6H16 at its relaxed geometry at the PBE level of DFT.

Cell: 11.321 8.055 12.151 Å, 90.00 115.27 90.00°
Fractional coordinates of all 92 atoms:
Be1 0.287 0.463 0.774
Be2 0.287 0.037 0.274
Be3 0.713 0.537 0.226
Be4 0.713 0.963 0.726
B1 0.169 0.271 0.731
B2 0.169 0.229 0.231
B3 0.831 0.729 0.269
B4 0.831 0.771 0.769
B5 0.119 0.284 0.856
B6 0.119 0.216 0.356
B7 0.881 0.716 0.144
B8 0.881 0.784 0.644
B9 0.290 0.278 0.882
B10 0.290 0.222 0.382
B11 0.710 0.722 0.118
B12 0.710 0.778 0.618
B13 0.300 0.706 0.768
B14 0.300 0.794 0.268
B15 0.700 0.294 0.232
B16 0.700 0.206 0.732
B17 0.275 0.721 0.610
B18 0.275 0.779 0.110
B19 0.725 0.279 0.390
B20 0.725 0.221 0.890
B21 0.401 0.590 0.720
B22 0.401 0.910 0.220
B23 0.599 0.410 0.280
B24 0.599 0.090 0.780
H1 0.172 0.149 0.677
H2 0.172 0.351 0.177
H3 0.828 0.851 0.323
H4 0.828 0.649 0.823
H5 0.078 0.158 0.879
H6 0.078 0.342 0.379
H7 0.922 0.842 0.121
H8 0.922 0.658 0.621
H9 0.361 0.161 0.912
H10 0.361 0.339 0.412
H11 0.639 0.839 0.088
H12 0.639 0.661 0.588
H13 0.075 0.414 0.870
H14 0.075 0.086 0.370
H15 0.925 0.586 0.130
H16 0.925 0.914 0.630
H17 0.054 0.278 0.725
H18 0.054 0.222 0.225
H19 0.946 0.722 0.275
H20 0.946 0.778 0.775
H21 0.243 0.295 0.959
H22 0.243 0.205 0.459
H23 0.757 0.705 0.041
H24 0.757 0.795 0.541
H25 0.356 0.410 0.910
H26 0.356 0.090 0.410
H27 0.644 0.590 0.090
H28 0.644 0.910 0.590
H29 0.158 0.400 0.670
H30 0.158 0.100 0.170
H31 0.842 0.600 0.330
H32 0.842 0.900 0.830
H33 0.360 0.798 0.850
H34 0.360 0.702 0.350
H35 0.640 0.202 0.150
H36 0.640 0.298 0.650
H37 0.312 0.847 0.582
H38 0.312 0.653 0.082
H39 0.688 0.153 0.418
H40 0.688 0.347 0.918
H41 0.515 0.622 0.774
H42 0.515 0.878 0.274
H43 0.485 0.378 0.226
H44 0.485 0.122 0.726
H45 0.180 0.654 0.535
H46 0.180 0.846 0.035
H47 0.820 0.346 0.465
H48 0.820 0.154 0.965
H49 0.217 0.792 0.684
H50 0.217 0.708 0.184
H51 0.783 0.208 0.316
H52 0.783 0.292 0.816
H53 0.373 0.610 0.608
H54 0.373 0.890 0.108
H55 0.627 0.390 0.392
H56 0.627 0.110 0.892
H57 0.383 0.436 0.715
H58 0.383 0.064 0.215
H59 0.617 0.564 0.285
H60 0.617 0.936 0.785
H61 0.219 0.623 0.790
H62 0.219 0.877 0.290
H63 0.781 0.377 0.210
H64 0.781 0.123 0.710

Results
energy relative to the lowest polymorph listed for this composition: 0 kJ/mol of formula units
magnetization: 0.206 μB per cell
energy relative to the elements: -4.862 eV/f.u.